Material: KNaCuP4H18N4O15
Method: DFT, PBE-GGA
State: optimized geometry

a b c (Å): 6.5045 14.7626 19.4727
angles (deg): 90.00 90.00 90.00
Closest atoms and distances in Å follow each position.
Atoms (fractional coordinates):
H  0.9517  0.1973  0.8746  1 O 0.99
O  0.2682  0.2500  0.2947  2 H 0.98
O  0.5454  0.8477  0.1912  2 H 0.98-0.99
O  0.0001  0.3388  0.3977  1 P 1.53
H  0.9783  0.1649  0.6423  1 O 0.98
H  0.9148  0.9416  0.7574  1 O 0.99
H  0.4229  0.0867  0.8087  1 O 0.99
O  0.0622  0.0700  0.1931  2 H 0.99
H  0.0771  0.9133  0.3087  1 O 0.99
O  0.9546  0.1523  0.6912  2 H 0.98-0.99
P  0.2733  0.5808  0.0382  2 O 1.51-1.54, 2 N 1.67-1.69
P  0.4488  0.5600  0.8957  2 O 1.52-1.53, 2 N 1.66-1.68
H  0.6971  0.1986  0.1842  1 O 0.98
O  0.8496  0.9674  0.6720  1 P 1.52
P  0.9488  0.9400  0.6043  2 O 1.52-1.53, 2 N 1.66-1.68
Na  0.7963  0.7500  0.2469  6 O 2.40-2.48
O  0.9417  0.6537  0.4579  1 P 1.54
H  0.0217  0.8351  0.3577  1 O 0.98
O  0.5454  0.6523  0.1912  2 H 0.98-0.99
H  0.5483  0.8027  0.3746  1 O 0.99
H  0.3029  0.8014  0.8158  1 O 0.98
H  0.0217  0.6649  0.3577  1 O 0.98
Cu  0.4938  0.7500  0.9742  4 O 1.97-1.98
H  0.4165  0.6969  0.4955  1 O 0.99
H  0.4783  0.1649  0.8577  1 O 0.98
H  0.0848  0.5560  0.8149  1 O 0.99
H  0.3029  0.6986  0.8158  1 O 0.98
N  0.6671  0.5011  0.9063  1 H 1.05
H  0.8029  0.6986  0.6842  1 O 0.98
O  0.9999  0.8388  0.6023  1 P 1.53
O  0.0001  0.1612  0.3977  1 P 1.53
O  0.9378  0.9300  0.8069  2 H 0.99
H  0.0483  0.8027  0.1254  1 O 0.99
N  0.1671  0.5011  0.5937  1 H 1.05
P  0.7267  0.4192  0.9618  2 O 1.51-1.54, 2 N 1.67-1.69
N  0.6671  0.9989  0.9063  1 H 1.05
O  0.5545  0.6095  0.4469  1 P 1.51
H  0.7804  0.5184  0.8703  1 N 1.05
H  0.5835  0.3031  0.5045  1 O 0.99
O  0.0545  0.6095  0.0531  1 P 1.51
H  0.9152  0.0560  0.1851  1 O 0.99
N  0.7875  0.5348  0.5410  1 H 1.03
H  0.7804  0.9816  0.8703  1 N 1.05
H  0.4517  0.3027  0.6254  1 O 0.99
H  0.0848  0.9440  0.8149  1 O 0.99
Na  0.2963  0.7500  0.2531  6 O 2.40-2.48
H  0.4152  0.4440  0.3149  1 O 0.99
O  0.1460  0.2500  0.0185  2 H 0.99
H  0.0835  0.1969  0.9955  1 O 0.99
N  0.8329  0.0011  0.4063  1 H 1.05
P  0.7733  0.5808  0.4618  2 O 1.51-1.54, 2 N 1.67-1.69
O  0.5001  0.3388  0.1023  1 P 1.53
Na  0.2037  0.2500  0.7531  6 O 2.40-2.48
O  0.9378  0.5700  0.8069  2 H 0.99
H  0.5217  0.8351  0.1423  1 O 0.98
H  0.9517  0.3027  0.8746  1 O 0.99
O  0.7318  0.7500  0.7053  2 H 0.98
P  0.0512  0.0600  0.3957  2 O 1.52-1.53, 2 N 1.66-1.68
K  0.1630  0.2500  0.1591  7 O 2.72-2.82
H  0.1829  0.4835  0.9495  1 N 1.03
P  0.7733  0.9192  0.4618  2 O 1.51-1.54, 2 N 1.67-1.69
O  0.9455  0.1095  0.9469  1 P 1.51
H  0.0771  0.5867  0.3087  1 O 0.99
H  0.5483  0.6973  0.3746  1 O 0.99
H  0.4517  0.1973  0.6254  1 O 0.99
H  0.5771  0.5867  0.1913  1 O 0.99
O  0.3540  0.7500  0.5185  2 H 0.99
H  0.1829  0.0165  0.9495  1 N 1.03
O  0.8496  0.5326  0.6720  1 P 1.52
H  0.4783  0.3351  0.8577  1 O 0.98
O  0.4999  0.6612  0.8977  1 P 1.53
P  0.2733  0.9192  0.0382  2 O 1.51-1.54, 2 N 1.67-1.69
O  0.5622  0.4300  0.3069  2 H 0.99
H  0.6829  0.4835  0.5505  1 N 1.03
O  0.9999  0.6612  0.6023  1 P 1.53
P  0.7267  0.0808  0.9618  2 O 1.51-1.54, 2 N 1.67-1.69
N  0.2875  0.5348  0.9590  1 H 1.03
H  0.5848  0.9440  0.6851  1 O 0.99
O  0.0454  0.8477  0.3088  2 H 0.98-0.99
H  0.0852  0.0584  0.2426  1 O 0.99
O  0.2318  0.7500  0.7947  2 H 0.98
O  0.0583  0.1537  0.5421  1 P 1.54
O  0.5583  0.1537  0.9579  1 P 1.54
H  0.2804  0.9816  0.6297  1 N 1.05
H  0.1971  0.1986  0.3158  1 O 0.98
P  0.5512  0.0600  0.1043  2 O 1.52-1.53, 2 N 1.66-1.68
O  0.4546  0.3477  0.8088  2 H 0.98-0.99
Cu  0.5062  0.2500  0.0258  4 O 1.97-1.98
H  0.0835  0.3031  0.9955  1 O 0.99
H  0.8171  0.5165  0.0505  1 N 1.03
H  0.1971  0.3014  0.3158  1 O 0.98
K  0.6630  0.2500  0.3409  7 O 2.72-2.82
K  0.8370  0.7500  0.8409  7 O 2.72-2.82
O  0.5001  0.1612  0.1023  1 P 1.53
O  0.6504  0.0326  0.1720  1 P 1.52
H  0.9152  0.4440  0.1851  1 O 0.99
H  0.3171  0.5165  0.4495  1 N 1.03
O  0.5622  0.0700  0.3069  2 H 0.99
O  0.6504  0.4674  0.1720  1 P 1.52
H  0.8171  0.9835  0.0505  1 N 1.03
O  0.9455  0.3905  0.9469  1 P 1.51
H  0.7196  0.4816  0.3703  1 N 1.05
H  0.5848  0.5560  0.6851  1 O 0.99
H  0.4148  0.5584  0.7426  1 O 0.99
P  0.2267  0.4192  0.5382  2 O 1.51-1.54, 2 N 1.67-1.69
H  0.0483  0.6973  0.1254  1 O 0.99
H  0.9148  0.5584  0.7574  1 O 0.99
N  0.8329  0.4989  0.4063  1 H 1.05
N  0.2875  0.9652  0.9590  1 H 1.03
O  0.0622  0.4300  0.1931  2 H 0.99
P  0.5512  0.4400  0.1043  2 O 1.52-1.53, 2 N 1.66-1.68
N  0.7125  0.0348  0.0410  1 H 1.03
Cu  0.0062  0.2500  0.4742  4 O 1.97-1.98
H  0.4165  0.8031  0.4955  1 O 0.99
O  0.4417  0.6537  0.0421  1 P 1.54
O  0.4378  0.9300  0.6931  2 H 0.99
H  0.6971  0.3014  0.1842  1 O 0.98
O  0.5583  0.3463  0.9579  1 P 1.54
O  0.1504  0.4674  0.3280  1 P 1.52
O  0.7682  0.2500  0.2053  2 H 0.98
N  0.7125  0.4652  0.0410  1 H 1.03
H  0.2196  0.0184  0.1297  1 N 1.05
Na  0.7037  0.2500  0.7469  6 O 2.40-2.48
H  0.5852  0.4416  0.2574  1 O 0.99
N  0.2125  0.4652  0.4590  1 H 1.03
H  0.5771  0.9133  0.1913  1 O 0.99
H  0.3171  0.9835  0.4495  1 N 1.03
O  0.0583  0.3463  0.5421  1 P 1.54
H  0.5217  0.6649  0.1423  1 O 0.98
O  0.3496  0.5326  0.8280  1 P 1.52
H  0.4152  0.0560  0.3149  1 O 0.99
O  0.3496  0.9674  0.8280  1 P 1.52
H  0.2196  0.4816  0.1297  1 N 1.05
N  0.2125  0.0348  0.4590  1 H 1.03
O  0.0472  0.7500  0.1566  2 H 0.99
H  0.9229  0.4133  0.6913  1 O 0.99
O  0.4455  0.1095  0.5531  1 P 1.51
H  0.0852  0.4416  0.2426  1 O 0.99
O  0.9546  0.3477  0.6912  2 H 0.98-0.99
O  0.5472  0.7500  0.3434  2 H 0.99
H  0.8029  0.8014  0.6842  1 O 0.98
P  0.0512  0.4400  0.3957  2 O 1.52-1.53, 2 N 1.66-1.68
O  0.6460  0.2500  0.4815  2 H 0.99
O  0.4417  0.8463  0.0421  1 P 1.54
H  0.9165  0.6969  0.0045  1 O 0.99
O  0.8540  0.7500  0.9815  2 H 0.99
H  0.4148  0.9416  0.7426  1 O 0.99
O  0.4378  0.5700  0.6931  2 H 0.99
H  0.4229  0.4133  0.8087  1 O 0.99
O  0.9417  0.8463  0.4579  1 P 1.54
H  0.5852  0.0584  0.2574  1 O 0.99
Cu  0.9938  0.7500  0.5258  4 O 1.97-1.98
N  0.1671  0.9989  0.5937  1 H 1.05
K  0.3370  0.7500  0.6591  7 O 2.72-2.82
H  0.9229  0.0867  0.6913  1 O 0.99
O  0.4546  0.1523  0.8088  2 H 0.98-0.99
H  0.5835  0.1969  0.5045  1 O 0.99
P  0.9488  0.5600  0.6043  2 O 1.52-1.53, 2 N 1.66-1.68
N  0.3329  0.4989  0.0937  1 H 1.05
O  0.0454  0.6523  0.3088  2 H 0.98-0.99
O  0.5545  0.8905  0.4469  1 P 1.51
H  0.7196  0.0184  0.3703  1 N 1.05
H  0.9783  0.3351  0.6423  1 O 0.98
P  0.4488  0.9400  0.8957  2 O 1.52-1.53, 2 N 1.66-1.68
O  0.4999  0.8388  0.8977  1 P 1.53
O  0.0545  0.8905  0.0531  1 P 1.51
P  0.2267  0.0808  0.5382  2 O 1.51-1.54, 2 N 1.67-1.69
O  0.4455  0.3905  0.5531  1 P 1.51
N  0.3329  0.0011  0.0937  1 H 1.05
N  0.7875  0.9652  0.5410  1 H 1.03
O  0.4528  0.2500  0.6566  2 H 0.99
H  0.9165  0.8031  0.0045  1 O 0.99
H  0.2804  0.5184  0.6297  1 N 1.05
H  0.6829  0.0165  0.5505  1 N 1.03
O  0.1504  0.0326  0.3280  1 P 1.52
O  0.9528  0.2500  0.8434  2 H 0.99

Results
- space group = Pnma, No. 62
- E (eV/atom) = -5.67
- formation energy from the elements (eV per atom) = -1.430